[1]
## BaTbFe4O7 (PBE with a Hubbard U)

Data for a relaxed structure of BaTbFe4O7.

The structure in POSCAR format:
```
BaTbFe4O7
1.0
5.940 -2.223 0.673
-4.803 -4.034 -1.160
1.618 1.119 -10.584
Ba Tb Fe O
2 2 8 14
Direct
0.667 0.333 0.534
0.333 0.667 0.034
0.667 0.333 0.940
0.333 0.667 0.440
0.189 0.378 0.739
0.189 0.811 0.739
0.811 0.622 0.239
0.622 0.811 0.739
0.811 0.189 0.239
0.378 0.189 0.239
0.000 0.000 0.986
0.000 0.000 0.486
0.000 0.000 0.808
0.000 0.000 0.308
0.157 0.314 0.560
0.157 0.843 0.560
0.843 0.686 0.060
0.686 0.843 0.560
0.843 0.157 0.060
0.314 0.157 0.060
0.492 0.985 0.837
0.492 0.508 0.837
0.508 0.015 0.337
0.015 0.508 0.837
0.508 0.492 0.337
0.985 0.492 0.337
```

Values from the calculation:
magnetic moment = 18.0 Bohr magnetons per cell
formation energy from the elements = -2.17 eV/atom

***

[2]
## Ba3TiFe2O9 (PBE with a Hubbard U)

Data for a relaxed structure of Ba3TiFe2O9.

The structure in POSCAR format:
```
Ba3TiFe2O9
1.0
4.328 -0.011 3.823
-4.339 3.768 0.561
-7.047 -9.299 7.950
Ba Ti Fe O
6 2 4 18
Direct
0.667 0.333 0.597
0.333 0.667 0.417
0.333 0.667 0.097
0.667 0.333 0.917
0.000 0.000 0.748
0.000 0.000 0.248
0.667 0.333 0.352
0.333 0.667 0.852
0.333 0.667 0.658
0.667 0.333 0.158
0.000 0.000 0.502
0.000 0.000 0.002
0.171 0.342 0.581
0.171 0.829 0.581
0.658 0.829 0.581
0.832 0.665 0.416
0.832 0.168 0.416
0.335 0.168 0.416
0.829 0.658 0.081
0.829 0.171 0.081
0.342 0.171 0.081
0.168 0.335 0.916
0.168 0.832 0.916
0.665 0.832 0.916
0.480 0.960 0.745
0.480 0.520 0.745
0.040 0.520 0.745
0.520 0.040 0.245
0.520 0.480 0.245
0.960 0.480 0.245
```

Values from the calculation:
energy above the lowest structure with this stoichiometry = 0 meV per atom
magnetic moment = 16.0 Bohr magnetons per cell
formation energy from the elements = -2.61 eV/atom